[1]
{"formula": "LiYMg6O8", "functional": "PBE", "state": "optimized geometry", "lattice": [[8.821, 0.000, 0.000], [0.000, 4.366, 0.000], [0.000, 0.000, 4.366]], "species": ["Li", "Y", "Mg", "Mg", "Mg", "Mg", "Mg", "Mg", "O", "O", "O", "O", "O", "O", "O", "O"], "frac_coords": [[0.500, 0.000, 0.000], [0.000, 0.000, 0.000], [0.000, 0.500, 0.500], [0.500, 0.500, 0.500], [0.274, 0.000, 0.500], [0.726, 0.000, 0.500], [0.274, 0.500, 0.000], [0.726, 0.500, 0.000], [0.254, 0.000, 0.000], [0.746, 0.000, 0.000], [0.246, 0.500, 0.500], [0.754, 0.500, 0.500], [0.000, 0.000, 0.500], [0.500, 0.000, 0.500], [0.000, 0.500, 0.000], [0.500, 0.500, 0.000]], "e_above_lowest_polymorph_ev_per_atom": 0.040}

***

[2]
{"formula": "LiYMg14O16", "functional": "PBE", "state": "optimized geometry", "lattice": [[4.313, 0.000, 0.000], [0.000, 8.599, 0.000], [0.000, 0.000, 8.639]], "species": ["Li", "Y", "Mg", "Mg", "Mg", "Mg", "Mg", "Mg", "Mg", "Mg", "Mg", "Mg", "Mg", "Mg", "Mg", "Mg", "O", "O", "O", "O", "O", "O", "O", "O", "O", "O", "O", "O", "O", "O", "O", "O"], "frac_coords": [[0.000, 0.000, 0.500], [0.000, 0.000, 0.000], [0.000, 0.500, 0.000], [0.000, 0.500, 0.500], [0.500, 0.000, 0.269], [0.500, 0.000, 0.731], [0.500, 0.500, 0.253], [0.500, 0.500, 0.747], [0.500, 0.261, 0.000], [0.500, 0.245, 0.500], [0.500, 0.739, 0.000], [0.500, 0.755, 0.500], [0.000, 0.252, 0.261], [0.000, 0.252, 0.739], [0.000, 0.748, 0.261], [0.000, 0.748, 0.739], [0.000, 0.260, 0.000], [0.000, 0.259, 0.500], [0.000, 0.740, 0.000], [0.000, 0.741, 0.500], [0.500, 0.249, 0.247], [0.500, 0.249, 0.753], [0.500, 0.751, 0.247], [0.500, 0.751, 0.753], [0.500, 0.000, 0.000], [0.500, 0.000, 0.500], [0.500, 0.500, 0.000], [0.500, 0.500, 0.500], [0.000, 0.000, 0.256], [0.000, 0.000, 0.744], [0.000, 0.500, 0.248], [0.000, 0.500, 0.752]], "energy_ev_per_atom": -6.125}

***

[3]
{"formula": "LiMg2Pd", "functional": "PBE", "state": "optimized geometry", "lattice": [[0.000, 3.244, 3.244], [3.244, 0.000, 3.244], [3.244, 3.244, 0.000]], "species": ["Li", "Mg", "Mg", "Pd"], "frac_coords": [[0.500, 0.500, 0.500], [0.250, 0.250, 0.250], [0.750, 0.750, 0.750], [0.000, 0.000, 0.000]], "energy_ev_per_atom": -3.047}

***

[4]
{"formula": "LiMgSbPd", "functional": "PBE", "state": "optimized geometry", "lattice": [[4.022, 0.999, 2.085], [2.697, 3.389, -1.664], [0.466, 3.966, 2.362]], "species": ["Li", "Mg", "Sb", "Pd"], "frac_coords": [[0.250, 0.250, 0.250], [0.500, 0.500, 0.500], [0.000, 0.000, 0.000], [0.750, 0.750, 0.750]], "energy_ev_per_atom": -3.781}

***

[5]
{"formula": "Li14MgSi4", "functional": "PBE", "state": "optimized geometry", "lattice": [[-5.327, 5.327, 5.316], [5.327, -5.327, 5.316], [5.327, 5.327, -5.316]], "species": ["Li", "Li", "Li", "Li", "Li", "Li", "Li", "Li", "Li", "Li", "Li", "Li", "Li", "Li", "Li", "Li", "Li", "Li", "Li", "Li", "Li", "Li", "Li", "Li", "Li", "Li", "Li", "Li", "Mg", "Mg", "Si", "Si", "Si", "Si", "Si", "Si", "Si", "Si"], "frac_coords": [[0.064, 0.538, 0.275], [0.263, 0.789, 0.725], [0.186, 0.961, 0.974], [0.987, 0.212, 0.026], [0.039, 0.013, 0.225], [0.788, 0.814, 0.775], [0.462, 0.737, 0.526], [0.211, 0.936, 0.474], [0.717, 0.346, 0.062], [0.966, 0.404, 0.870], [0.284, 0.654, 0.938], [0.533, 0.096, 0.130], [0.690, 0.857, 0.089], [0.482, 0.893, 0.333], [0.560, 0.148, 0.667], [0.768, 0.602, 0.911], [0.852, 0.518, 0.411], [0.398, 0.310, 0.167], [0.143, 0.232, 0.833], [0.107, 0.440, 0.589], [0.904, 0.034, 0.438], [0.346, 0.283, 0.630], [0.596, 0.467, 0.562], [0.654, 0.716, 0.370], [0.000, 0.875, 0.625], [0.250, 0.375, 0.375], [0.125, 0.750, 0.125], [0.625, 0.000, 0.875], [0.500, 0.500, 0.000], [0.750, 0.250, 0.500], [0.289, 0.535, 0.161], [0.374, 0.128, 0.839], [0.961, 0.622, 0.746], [0.876, 0.215, 0.254], [0.378, 0.124, 0.339], [0.785, 0.039, 0.661], [0.465, 0.626, 0.754], [0.872, 0.711, 0.246]], "energy_ev_per_atom": -2.884}

***

[6]
{"formula": "Li2Mg3Si2", "functional": "PBE", "state": "optimized geometry", "lattice": [[-6.851, 1.543, 3.404], [-7.774, -0.124, -0.675], [-6.720, -2.903, 2.707]], "species": ["Li", "Li", "Mg", "Mg", "Mg", "Si", "Si"], "frac_coords": [[0.745, 0.745, 0.745], [0.369, 0.369, 0.369], [0.127, 0.127, 0.127], [0.624, 0.624, 0.624], [0.881, 0.881, 0.881], [0.004, 0.004, 0.004], [0.498, 0.498, 0.498]], "energy_ev_per_atom": -2.976}